# 1
# Ca2SiO4

A relaxed structure of Ca2SiO4 (PBE, the Materials Project).

The theoretical density comes out at 3.2 g/cm3. As for the crystal system: orthorhombic. Its formation energy is -3.44 eV per atom. The volume is 12.79 Å³ per atom. For the energy above the most stable polymorph in this dataset, the calculation gives 37 meV per atom. The total energy comes out at -606.7 eV/cell.

abc: 20.536 9.349 5.598
angles: 90.00 90.00 90.00
Fractional coordinates of all 84 atoms:
Ca1 0.004 0.200 0.000
Ca2 0.057 0.559 0.992
Ca3 0.110 0.073 0.475
Ca4 0.164 0.704 0.450
Ca5 0.171 0.290 0.969
Ca6 0.221 0.926 0.951
Ca7 0.279 0.426 0.451
Ca8 0.329 0.790 0.469
Ca9 0.336 0.204 0.950
Ca10 0.390 0.573 0.975
Ca11 0.443 0.059 0.492
Ca12 0.496 0.700 0.500
Ca13 0.504 0.300 0.000
Ca14 0.557 0.941 0.992
Ca15 0.610 0.427 0.475
Ca16 0.664 0.796 0.450
Ca17 0.671 0.210 0.969
Ca18 0.721 0.574 0.951
Ca19 0.779 0.074 0.451
Ca20 0.829 0.710 0.469
Ca21 0.836 0.296 0.950
Ca22 0.890 0.927 0.975
Ca23 0.943 0.441 0.492
Ca24 0.996 0.800 0.500
Si1 0.072 0.908 0.969
Si2 0.096 0.407 0.497
Si3 0.241 0.580 0.954
Si4 0.259 0.080 0.454
Si5 0.404 0.907 0.997
Si6 0.428 0.408 0.469
Si7 0.572 0.592 0.969
Si8 0.596 0.093 0.497
Si9 0.741 0.920 0.954
Si10 0.759 0.420 0.454
Si11 0.904 0.593 0.997
Si12 0.928 0.092 0.469
O1 0.003 0.049 0.400
O2 0.049 0.550 0.545
O3 0.076 0.783 0.177
O4 0.077 0.338 0.236
O5 0.080 0.289 0.707
O6 0.105 0.851 0.715
O7 0.114 0.050 0.051
O8 0.165 0.546 0.009
O9 0.172 0.455 0.507
O10 0.219 0.932 0.378
O11 0.225 0.135 0.707
O12 0.250 0.205 0.248
O13 0.250 0.705 0.748
O14 0.275 0.635 0.207
O15 0.281 0.432 0.878
O16 0.328 0.955 0.007
O17 0.335 0.046 0.509
O18 0.386 0.550 0.551
O19 0.395 0.351 0.215
O20 0.420 0.789 0.207
O21 0.423 0.838 0.736
O22 0.424 0.283 0.677
O23 0.451 0.050 0.045
O24 0.497 0.549 0.900
O25 0.503 0.451 0.400
O26 0.549 0.950 0.545
O27 0.576 0.717 0.177
O28 0.577 0.162 0.236
O29 0.580 0.211 0.707
O30 0.605 0.649 0.715
O31 0.614 0.450 0.051
O32 0.665 0.954 0.009
O33 0.672 0.045 0.507
O34 0.719 0.568 0.378
O35 0.725 0.365 0.707
O36 0.750 0.295 0.248
O37 0.750 0.795 0.748
O38 0.775 0.865 0.207
O39 0.781 0.068 0.878
O40 0.828 0.545 0.007
O41 0.835 0.454 0.509
O42 0.886 0.950 0.551
O43 0.895 0.149 0.215
O44 0.920 0.711 0.207
O45 0.923 0.662 0.736
O46 0.924 0.217 0.677
O47 0.951 0.450 0.045
O48 0.997 0.951 0.900


# 2
# MoWSeS3

A relaxed structure of MoWSeS3 (PBE, the Materials Project).

The theoretical density comes out at 4.6 g/cm3. As for the crystal system: trigonal. Its formation energy is -1.02 eV per atom. The volume is 27.37 Å³ per atom. For the energy above the most stable polymorph in this dataset, the calculation gives 18 meV per atom. The total energy comes out at -88.6 eV/cell.

abc: 3.227 3.227 36.417
angles: 90.00 90.00 120.00
Fractional coordinates of all 12 atoms:
Mo1 0.000 0.000 0.000
Mo2 0.333 0.667 0.564
W1 0.000 0.000 0.376
W2 0.333 0.667 0.188
Se1 0.333 0.667 0.329
Se2 0.333 0.667 0.423
S1 0.000 0.000 0.145
S2 0.000 0.000 0.231
S3 0.000 0.000 0.521
S4 0.000 0.000 0.606
S5 0.333 0.667 0.043
S6 0.333 0.667 0.957


# 3
# TiAlO3

A relaxed structure of TiAlO3 (PBE, the Materials Project).

The theoretical density comes out at 3.9 g/cm3. As for the crystal system: hexagonal. Its formation energy is -3.10 eV per atom. The volume is 10.47 Å³ per atom. The total energy comes out at -239.7 eV/cell.

abc: 5.489 5.489 12.040
angles: 90.00 90.00 120.00
Fractional coordinates of all 30 atoms:
Ti1 0.000 0.331 0.000
Ti2 0.000 0.669 0.500
Ti3 0.331 0.000 0.000
Ti4 0.331 0.331 0.500
Ti5 0.669 0.000 0.500
Ti6 0.669 0.669 0.000
Al1 0.000 0.000 0.250
Al2 0.000 0.000 0.750
Al3 0.333 0.667 0.251
Al4 0.333 0.667 0.751
Al5 0.667 0.333 0.251
Al6 0.667 0.333 0.751
O1 0.000 0.000 0.469
O2 0.000 0.000 0.969
O3 0.000 0.317 0.175
O4 0.000 0.356 0.827
O5 0.000 0.644 0.327
O6 0.000 0.683 0.675
O7 0.317 0.000 0.175
O8 0.317 0.317 0.675
O9 0.333 0.667 0.017
O10 0.333 0.667 0.517
O11 0.356 0.000 0.827
O12 0.356 0.356 0.327
O13 0.644 0.000 0.327
O14 0.644 0.644 0.827
O15 0.667 0.333 0.017
O16 0.667 0.333 0.517
O17 0.683 0.000 0.675
O18 0.683 0.683 0.175


# 4
# Rh2O3

A relaxed structure of Rh2O3 (PBE, the Materials Project).

The theoretical density comes out at 7.7 g/cm3. As for the crystal system: orthorhombic. Its formation energy is -0.94 eV per atom. The volume is 10.92 Å³ per atom. The total energy comes out at -128.9 eV/cell.

abc: 7.744 3.062 9.207
angles: 90.00 90.00 90.00
Fractional coordinates of all 20 atoms:
Rh1 0.016 0.250 0.161
Rh2 0.175 0.250 0.534
Rh3 0.325 0.750 0.034
Rh4 0.484 0.750 0.661
Rh5 0.516 0.250 0.339
Rh6 0.675 0.250 0.966
Rh7 0.825 0.750 0.466
Rh8 0.984 0.750 0.839
O1 0.036 0.750 0.619
O2 0.142 0.250 0.958
O3 0.170 0.750 0.206
O4 0.330 0.250 0.706
O5 0.358 0.750 0.458
O6 0.464 0.250 0.119
O7 0.536 0.750 0.881
O8 0.642 0.250 0.542
O9 0.670 0.750 0.294
O10 0.830 0.250 0.794
O11 0.858 0.750 0.042
O12 0.964 0.250 0.381


- Among the records above, which one has the lowest total energy?
  Ca2SiO4